(1)
VASP calculation (meta-GGA r2SCAN) on a relaxed LuMgAg2 crystal.

Summary:
crystal system: cubic

Unit cell a=6.842 b=6.842 c=6.842 alpha=90.00 beta=90.00 gamma=90.00
Space group Fm-3m (No. 225)
Symmetry-distinct sites (fractional):
Lu: 0.000 0.000 0.000
Mg: 0.000 0.000 0.500
Ag: 0.250 0.250 0.250

---

(2)
VASP calculation (meta-GGA r2SCAN) on a relaxed LuAgO2 crystal.

Summary:
crystal system: trigonal

Unit cell a=3.3736 b=3.3736 c=18.5899 alpha=90.00 beta=90.00 gamma=120.00
Space group R-3m (No. 166, hexagonal axes)
Symmetry-distinct sites (fractional):
Lu: 0.0000 0.0000 0.0000
Ag: 0.0000 0.0000 0.5000
O: 0.0000 0.0000 0.3889

---

(3)
VASP calculation (meta-GGA r2SCAN) on a relaxed Lu2AgPt crystal.

Summary:
crystal system: cubic

Unit cell a=6.897 b=6.897 c=6.897 alpha=90.00 beta=90.00 gamma=90.00
Space group Fm-3m (No. 225)
Symmetry-distinct sites (fractional):
Lu: 0.250 0.250 0.250
Ag: 0.000 0.000 0.000
Pt: 0.000 0.000 0.500

---

(4)
VASP calculation (meta-GGA r2SCAN) on a relaxed Lu2AgRu crystal.

Summary:
crystal system: cubic

Unit cell a=6.810 b=6.810 c=6.810 alpha=90.00 beta=90.00 gamma=90.00
Space group Fm-3m (No. 225)
Symmetry-distinct sites (fractional):
Lu: 0.250 0.250 0.250
Ag: 0.000 0.000 0.000
Ru: 0.000 0.000 0.500

---

no.,DFT formation energy (eV/atom)
1,-0.291
2,-2.612
3,-0.911
4,-0.469